A relaxed structure of AlCoF5. Source: the Materials Project database, functional GGA+U.

Geometry as POSCAR:
```
AlCoF5
1.0
-1.783 3.157 3.758
1.783 -3.157 3.758
1.783 3.157 -3.758
Al Co F
1 1 5
direct
0.000 0.000 0.000
0.500 0.500 0.000
0.000 0.500 0.500
0.241 0.241 0.000
0.294 0.000 0.294
0.706 0.000 0.706
0.759 0.759 0.000
```

Li3CoO2F (GGA+U, optimized geometry); offset from the most stable computed form = 37.5 meV/atom
1.0
5.200 0.000 0.000
0.315 5.352 0.000
0.167 2.661 5.255
Li Co O F
6 2 4 2
direct
0.068 0.268 0.013
0.150 0.700 0.504
0.401 0.515 0.198
0.599 0.485 0.802
0.850 0.300 0.496
0.932 0.732 0.987
0.383 0.975 0.807
0.617 0.025 0.193
0.253 0.626 0.842
0.273 0.914 0.160
0.727 0.086 0.840
0.747 0.374 0.158
0.220 0.316 0.505
0.780 0.684 0.495

Li3Mn4B4O12 (GGA+U, optimized geometry); offset from the most stable computed form = 6.2 meV/atom
1.0
6.185 0.000 0.000
2.052 8.935 0.000
1.239 1.171 9.107
Li Mn B O
6 8 8 24
direct
0.022 0.196 0.286
0.214 0.309 0.466
0.295 0.686 0.048
0.705 0.314 0.952
0.786 0.691 0.534
0.978 0.804 0.714
0.010 0.119 0.741
0.233 0.372 0.003
0.278 0.623 0.479
0.488 0.894 0.765
0.512 0.106 0.235
0.722 0.377 0.521
0.767 0.628 0.997
0.990 0.881 0.259
0.005 0.461 0.734
0.220 0.041 0.015
0.234 0.968 0.484
0.491 0.554 0.765
0.509 0.446 0.235
0.766 0.032 0.516
0.780 0.959 0.985
0.995 0.539 0.266
0.022 0.342 0.653
0.038 0.600 0.665
0.061 0.561 0.116
0.192 0.898 0.073
0.195 0.938 0.638
0.216 0.855 0.403
0.217 0.150 0.103
0.266 0.073 0.862
0.276 0.103 0.419
0.448 0.422 0.388
0.463 0.415 0.829
0.475 0.671 0.849
0.525 0.329 0.151
0.537 0.585 0.171
0.552 0.578 0.612
0.724 0.897 0.581
0.734 0.927 0.138
0.783 0.850 0.897
0.784 0.145 0.597
0.805 0.062 0.362
0.808 0.102 0.927
0.939 0.439 0.884
0.962 0.400 0.335
0.978 0.658 0.347

A relaxed structure of Li3Mn5F15. Source: the Materials Project database, functional GGA+U.

Geometry as POSCAR:
```
Li3Mn5F15
1.0
13.063 0.000 0.000
0.000 13.063 0.000
0.000 0.000 3.943
Li Mn F
6 10 30
direct
0.000 0.000 0.000
0.162 0.338 0.956
0.338 0.838 0.956
0.500 0.500 0.000
0.662 0.162 0.956
0.838 0.662 0.956
0.000 0.500 0.910
0.080 0.787 0.925
0.213 0.080 0.925
0.287 0.580 0.925
0.420 0.287 0.925
0.500 0.000 0.910
0.580 0.713 0.925
0.713 0.420 0.925
0.787 0.920 0.925
0.920 0.213 0.925
0.000 0.500 0.411
0.015 0.341 0.920
0.063 0.132 0.939
0.082 0.784 0.426
0.132 0.937 0.939
0.159 0.485 0.920
0.216 0.082 0.426
0.236 0.736 0.926
0.264 0.236 0.926
0.284 0.582 0.426
0.341 0.985 0.920
0.368 0.437 0.939
0.418 0.284 0.426
0.437 0.632 0.939
0.485 0.841 0.920
0.500 0.000 0.411
0.515 0.159 0.920
0.563 0.368 0.939
0.582 0.716 0.426
0.632 0.563 0.939
0.659 0.015 0.920
0.716 0.418 0.426
0.736 0.764 0.926
0.764 0.264 0.926
0.784 0.918 0.426
0.841 0.515 0.920
0.868 0.063 0.939
0.918 0.216 0.426
0.937 0.868 0.939
0.985 0.659 0.920
```

A relaxed structure of Fe2NF6. Source: the Materials Project database, functional GGA+U.

Geometry as POSCAR:
```
Fe2NF6
1.0
7.263 0.000 0.000
0.000 7.438 0.000
0.000 0.000 10.208
Fe N F
8 4 24
direct
0.000 0.000 0.000
0.000 0.500 0.000
0.196 0.250 0.278
0.304 0.750 0.778
0.500 0.000 0.500
0.500 0.500 0.500
0.696 0.250 0.222
0.804 0.750 0.722
0.010 0.250 0.628
0.490 0.750 0.128
0.510 0.250 0.872
0.990 0.750 0.372
0.043 0.250 0.947
0.067 0.750 0.681
0.135 0.047 0.161
0.135 0.453 0.161
0.228 0.573 0.909
0.228 0.927 0.909
0.272 0.073 0.409
0.272 0.427 0.409
0.365 0.547 0.661
0.365 0.953 0.661
0.433 0.250 0.181
0.457 0.750 0.447
0.543 0.250 0.553
0.567 0.750 0.819
0.635 0.047 0.339
0.635 0.453 0.339
0.728 0.573 0.591
0.728 0.927 0.591
0.772 0.073 0.091
0.772 0.427 0.091
0.865 0.547 0.839
0.865 0.953 0.839
0.933 0.250 0.319
0.957 0.750 0.053
```

Na4MgNi4O10 (GGA+U, optimized geometry); offset from the most stable computed form = 169.0 meV/atom
1.0
5.371 0.000 0.000
-1.219 5.678 0.000
-2.135 -1.264 7.217
Na Mg Ni O
4 1 4 10
direct
0.000 0.000 0.000
0.049 0.523 0.261
0.577 0.970 0.175
0.693 0.922 0.567
0.283 0.659 0.776
0.191 0.264 0.570
0.465 0.452 0.069
0.623 0.433 0.467
0.833 0.449 0.854
0.135 0.275 0.809
0.191 0.653 0.026
0.353 0.258 0.240
0.360 0.577 0.533
0.542 0.235 0.641
0.638 0.665 0.943
0.687 0.642 0.308
0.715 0.268 0.019
0.850 0.240 0.427
0.895 0.637 0.675

LiMn2P5O15 (GGA+U, optimized geometry); offset from the most stable computed form = 42.6 meV/atom
1.0
3.949 -6.135 0.000
3.949 6.135 0.000
-1.533 0.000 12.832
Li Mn P O
2 4 10 30
direct
0.084 0.916 0.500
0.916 0.084 0.000
0.173 0.239 0.697
0.239 0.173 0.197
0.272 0.740 0.024
0.740 0.272 0.524
0.027 0.766 0.254
0.199 0.415 0.481
0.317 0.940 0.785
0.415 0.199 0.981
0.561 0.647 0.226
0.580 0.801 0.448
0.647 0.561 0.726
0.766 0.027 0.754
0.801 0.580 0.948
0.940 0.317 0.285
0.014 0.543 0.251
0.050 0.489 0.521
0.122 0.894 0.354
0.141 0.339 0.359
0.143 0.858 0.161
0.191 0.950 0.689
0.215 0.241 0.534
0.241 0.215 0.034
0.257 0.761 0.846
0.339 0.141 0.859
0.419 0.591 0.487
0.428 0.493 0.746
0.472 0.695 0.130
0.489 0.050 0.021
0.493 0.428 0.246
0.518 0.769 0.323
0.527 0.968 0.491
0.543 0.014 0.751
0.591 0.419 0.987
0.695 0.472 0.630
0.742 0.802 0.726
0.761 0.257 0.346
0.769 0.518 0.823
0.785 0.811 0.472
0.802 0.742 0.226
0.811 0.785 0.972
0.858 0.143 0.661
0.894 0.122 0.854
0.950 0.191 0.189
0.968 0.527 0.991

LiCoPO4F (GGA+U, optimized geometry); offset from the most stable computed form = 0.0 meV/atom
1.0
5.169 0.000 0.000
-0.849 5.284 0.000
-1.910 -2.846 6.482
Li Co P O F
2 2 2 8 2
direct
0.077 0.432 0.309
0.923 0.568 0.691
0.000 0.000 0.500
0.500 0.500 0.000
0.446 0.120 0.265
0.554 0.880 0.735
0.236 0.771 0.611
0.285 0.154 0.421
0.349 0.311 0.158
0.363 0.817 0.112
0.637 0.183 0.888
0.651 0.689 0.842
0.715 0.846 0.579
0.764 0.229 0.389
0.132 0.333 0.768
0.868 0.667 0.232

It is found that the calculated volume values, taken in the order of the records, are 85 146 503 673 551 220 622 177 Å³/cell.
It is found that the E_tot values, taken in the order of the records, are -5.52 -5.09 -7.40 -5.74 -5.01 -4.53 -7.23 -6.26 eV per atom.